This record from the Materials Project database describes Li3H3N2 after structural relaxation. The functional is PBE.

```
Li3H3N2
1.0
3.460 0.000 0.000
0.000 3.729 0.000
0.000 0.164 5.141
Li H N
3 3 2
direct
0.000 0.458 0.239
0.000 0.609 0.680
0.500 0.963 0.317
0.229 0.039 0.907
0.500 0.301 0.633
0.771 0.039 0.907
0.500 0.479 0.473
0.000 0.949 0.020
```

Summary:
E_tot: -36.4 eV for the cell shown
ΔE_f: -0.564 eV per atom
Mass density: 1.30 g/cm3


This record from the Materials Project database describes K2Si6GeO15 after structural relaxation. The functional is PBE.

```
K2Si6GeO15
1.0
-5.087 -2.987 4.384
1.243 -0.706 7.209
-7.000 11.736 6.207
K O Si Ge
4 30 12 2
direct
0.787 0.921 0.212
0.576 0.209 0.901
0.921 0.787 0.712
0.209 0.576 0.401
0.997 0.601 0.950
0.346 0.840 0.460
0.364 0.150 0.160
0.541 0.751 0.723
0.601 0.997 0.450
0.222 0.550 0.074
0.940 0.967 0.500
0.478 0.110 0.759
0.550 0.222 0.574
0.332 0.673 0.897
0.334 0.790 0.207
0.030 0.128 0.281
0.621 0.669 0.059
0.063 0.269 0.426
0.751 0.541 0.223
0.269 0.063 0.926
0.150 0.364 0.660
0.840 0.346 0.960
0.120 0.065 0.600
0.128 0.030 0.781
0.967 0.940 0.000
0.673 0.332 0.397
0.760 0.662 0.372
0.389 0.514 0.684
0.065 0.120 0.100
0.110 0.478 0.259
0.662 0.760 0.872
0.790 0.334 0.707
0.669 0.621 0.559
0.514 0.389 0.184
0.591 0.564 0.670
0.046 0.119 0.993
0.771 0.598 0.960
0.196 0.051 0.188
0.598 0.771 0.460
0.397 0.293 0.672
0.119 0.046 0.493
0.051 0.196 0.688
0.293 0.397 0.172
0.693 0.133 0.477
0.133 0.693 0.977
0.564 0.591 0.170
0.395 0.895 0.827
0.895 0.395 0.327
```

Summary:
E_tot: -351.0 eV for the cell shown
ΔE_f: -3.008 eV per atom
Mass density: 2.78 g/cm3


This record from the Materials Project database describes K3Cd after structural relaxation. The functional is PBE.

```
K3Cd
1.0
1.397 -6.658 -0.714
-5.903 -1.823 2.935
0.139 4.252 -5.356
Cd K
1 3
direct
0.000 0.000 0.000
0.500 0.500 0.000
0.250 0.750 0.500
0.750 0.250 0.500
```

Summary:
E_tot: -4.1 eV for the cell shown
ΔE_f: 0.036 eV per atom
Mass density: 1.72 g/cm3


This record from the Materials Project database describes Ba2Sr2La2Cu6O13 after structural relaxation. The functional is PBE.

```
Ba2Sr2La2Cu6O13
1.0
-0.070 -11.802 4.110
-5.306 -11.021 2.428
1.160 -2.935 -4.571
O La Ba Cu Sr
13 2 2 6 2
direct
0.932 0.932 0.068
0.065 0.065 0.435
0.428 0.428 0.572
0.447 0.905 0.095
0.609 0.047 0.953
0.431 0.431 0.069
0.565 0.565 0.935
0.066 0.066 0.934
0.258 0.258 0.742
0.564 0.564 0.436
0.047 0.609 0.391
0.905 0.447 0.553
0.931 0.931 0.569
0.248 0.749 0.752
0.749 0.248 0.251
0.401 0.914 0.599
0.914 0.401 0.086
0.822 0.325 0.675
0.325 0.822 0.178
0.171 0.673 0.327
0.493 0.013 0.987
0.013 0.493 0.507
0.673 0.171 0.829
0.593 0.101 0.407
0.101 0.593 0.899
```

Summary:
E_tot: -152.2 eV for the cell shown
ΔE_f: -2.206 eV per atom
Mass density: 5.98 g/cm3


This record from the Materials Project database describes ZrZn2Ge after structural relaxation. The functional is PBE.

```
ZrZn2Ge
1.0
-2.001 2.001 8.573
2.001 -2.001 8.573
2.001 2.001 -8.573
Zn Ge Zr
4 2 2
direct
0.500 0.000 0.500
0.395 0.395 0.000
0.000 0.500 0.500
0.605 0.605 0.000
0.250 0.750 0.500
0.750 0.250 0.500
0.126 0.126 0.000
0.874 0.874 0.000
```

Summary:
E_tot: -34.0 eV for the cell shown
ΔE_f: -0.333 eV per atom
Mass density: 7.12 g/cm3


This record from the Materials Project database describes ZnSiSn3S5O24 after structural relaxation. The functional is PBE.

```
ZnSiSn3S5O24
1.0
-3.925 1.013 7.838
1.608 -8.054 -3.108
20.429 0.267 10.075
O S Sn Zn Si
72 15 9 3 3
direct
0.176 0.201 0.407
0.360 0.495 0.077
0.983 0.179 0.590
0.162 0.697 0.755
0.846 0.549 0.031
0.534 0.835 0.757
0.307 0.838 0.257
0.975 0.804 0.091
0.640 0.138 0.425
0.125 0.493 0.858
0.846 0.311 0.241
0.015 0.182 0.909
0.448 0.147 0.528
0.037 0.216 0.197
0.630 0.500 0.641
0.877 0.516 0.137
0.846 0.535 0.743
0.164 0.448 0.976
0.972 0.182 0.303
0.157 0.698 0.470
0.156 0.965 0.908
0.708 0.550 0.523
0.690 0.155 0.741
0.130 0.493 0.574
0.496 0.644 0.575
0.211 0.029 0.303
0.461 0.304 0.742
0.968 0.792 0.803
0.544 0.849 0.469
0.784 0.821 0.197
0.797 0.823 0.909
0.179 0.962 0.197
0.490 0.357 0.423
0.532 0.693 0.257
0.640 0.510 0.925
0.201 0.028 0.590
0.860 0.369 0.925
0.351 0.864 0.574
0.038 0.824 0.697
0.511 0.884 0.363
0.498 0.150 0.925
0.798 0.978 0.408
0.381 0.881 0.858
0.785 0.965 0.697
0.841 0.821 0.590
0.465 0.155 0.242
0.871 0.503 0.423
0.453 0.303 0.031
0.701 0.149 0.032
0.880 0.363 0.636
0.176 0.214 0.695
0.511 0.860 0.077
0.483 0.363 0.137
0.487 0.117 0.636
0.026 0.821 0.409
0.819 0.028 0.803
0.636 0.118 0.137
0.552 0.703 0.971
0.689 0.534 0.241
0.299 0.844 0.977
0.299 0.454 0.468
0.309 0.468 0.756
0.197 0.176 0.091
0.208 0.180 0.801
0.133 0.644 0.079
0.122 0.631 0.364
0.827 0.022 0.092
0.161 0.469 0.257
0.370 0.490 0.363
0.849 0.293 0.529
0.818 0.790 0.303
0.514 0.630 0.863
0.330 0.371 0.416
0.957 0.332 0.584
0.379 0.337 0.084
0.375 0.043 0.585
0.711 0.707 0.251
0.293 0.292 0.749
0.043 0.667 0.417
0.293 0.004 0.251
0.624 0.667 0.917
0.628 0.961 0.417
0.706 0.001 0.751
0.996 0.289 0.251
0.999 0.708 0.751
0.664 0.039 0.085
0.956 0.621 0.085
0.327 0.669 0.815
0.337 0.665 0.523
0.668 0.339 0.484
0.001 0.001 0.147
0.993 0.993 0.648
0.669 0.328 0.975
0.326 0.664 0.016
0.334 0.667 0.312
0.007 0.007 0.857
0.665 0.343 0.688
0.000 0.000 0.353
0.666 0.333 0.186
0.332 0.955 0.916
0.045 0.377 0.916
0.669 0.623 0.586
```

Summary:
E_tot: -622.6 eV for the cell shown
ΔE_f: -1.938 eV per atom
Mass density: 3.24 g/cm3